First-principles (PBE) data for crystalline H14RuS2N4O6 at its relaxed geometry, as listed in Materials Project.

Lattice parameters (Å, degrees): 6.3151 7.0918 11.7669 90.00 114.41 90.00
Closest atoms and distances in Å follow each position.
Fractional positions:
H  0.0455  0.0234  0.3331  1 N 1.03
H  0.0455  0.4766  0.8331  1 N 1.03
H  0.1610  0.2171  0.5226  1 N 1.03
H  0.1610  0.2829  0.0226  1 N 1.03
H  0.1838  0.6120  0.7702  1 N 1.03
H  0.1838  0.8880  0.2702  1 N 1.03
H  0.2060  0.1170  0.2699  1 N 1.02
H  0.2060  0.3830  0.7699  1 N 1.02
H  0.2770  0.5390  0.4118  1 O 1.00
H  0.2770  0.9610  0.9118  1 O 1.00
H  0.3163  0.1072  0.6558  1 N 1.03
H  0.3163  0.3928  0.1558  1 N 1.03
H  0.4131  0.1970  0.1185  1 N 1.02
H  0.4131  0.3030  0.6185  1 N 1.02
H  0.5869  0.6970  0.3815  1 N 1.02
H  0.5869  0.8030  0.8815  1 N 1.02
H  0.6837  0.6072  0.8442  1 N 1.03
H  0.6837  0.8928  0.3442  1 N 1.03
H  0.7230  0.0390  0.0882  1 O 1.00
H  0.7230  0.4610  0.5882  1 O 1.00
H  0.7940  0.6170  0.2301  1 N 1.02
H  0.7940  0.8830  0.7301  1 N 1.02
H  0.8162  0.1120  0.7298  1 N 1.03
H  0.8162  0.3880  0.2298  1 N 1.03
H  0.8390  0.7171  0.9774  1 N 1.03
H  0.8390  0.7829  0.4774  1 N 1.03
H  0.9545  0.5234  0.1669  1 N 1.03
H  0.9545  0.9766  0.6669  1 N 1.03
Ru  0.5000  0.0000  0.5000  4 N 2.16, 2 S 2.27
Ru  0.5000  0.5000  0.0000  4 N 2.16, 2 S 2.27
S  0.3606  0.7438  0.5632  3 O 1.49-1.66
S  0.3606  0.7562  0.0632  3 O 1.49-1.66
S  0.6394  0.2438  0.9368  3 O 1.49-1.66
S  0.6394  0.2562  0.4368  3 O 1.49-1.66
N  0.1988  0.0063  0.3237  3 H 1.02-1.03
N  0.1988  0.4937  0.8237  3 H 1.02-1.03
N  0.3268  0.1797  0.5827  3 H 1.02-1.03
N  0.3268  0.3203  0.0827  3 H 1.02-1.03
N  0.6732  0.6797  0.9173  3 H 1.02-1.03
N  0.6732  0.8203  0.4173  3 H 1.02-1.03
N  0.8012  0.5063  0.1763  3 H 1.02-1.03
N  0.8012  0.9937  0.6763  3 H 1.02-1.03
O  0.1813  0.6213  0.4416  1 H 1.00
O  0.1813  0.8787  0.9416  1 H 1.00
O  0.2068  0.7139  0.1276  1 S 1.49
O  0.2068  0.7861  0.6276  1 S 1.49
O  0.4561  0.1008  0.8641  1 S 1.51
O  0.4561  0.3992  0.3641  1 S 1.51
O  0.5439  0.6008  0.6359  1 S 1.51
O  0.5439  0.8992  0.1359  1 S 1.51
O  0.7932  0.2139  0.3724  1 S 1.49
O  0.7932  0.2861  0.8724  1 S 1.49
O  0.8187  0.1213  0.0584  1 H 1.00
O  0.8187  0.3787  0.5584  1 H 1.00

Values from the calculation:
Formation energy   -0.85 eV per atom
DFT total energy   -5.443 eV/atom
Corrected total energy (MP2020 scheme)   -151.08 eV/f.u.
Space group   P2_1/c

First-principles (PBE) data for crystalline Sn2H22S6N4O3 at its relaxed geometry, as listed in Materials Project.

Lattice parameters (Å, degrees): 8.7909 8.7909 23.4281 90.00 90.00 90.00
Closest atoms and distances in Å follow each position.
Fractional positions:
Sn  0.0230  0.0248  0.0725  4 S 2.38-2.48
Sn  0.0248  0.0230  0.9275  4 S 2.38-2.48
Sn  0.4752  0.5230  0.3225  4 S 2.38-2.48
Sn  0.4770  0.5248  0.1775  4 S 2.38-2.48
Sn  0.5230  0.4752  0.6775  4 S 2.38-2.48
Sn  0.5248  0.4770  0.8225  4 S 2.38-2.48
Sn  0.9752  0.9770  0.4275  4 S 2.38-2.48
Sn  0.9770  0.9752  0.5725  4 S 2.38-2.48
H  0.0049  0.3445  0.2723  1 N 1.03
H  0.0220  0.6381  0.3069  1 O 0.99
H  0.0235  0.5484  0.6520  1 N 1.04
H  0.0359  0.6372  0.1526  1 N 1.04
H  0.0445  0.4391  0.7122  1 N 1.04
H  0.0484  0.4765  0.4020  1 N 1.04
H  0.0609  0.5445  0.9622  1 N 1.04
H  0.0688  0.1606  0.2632  1 N 1.05
H  0.0816  0.9046  0.2840  1 O 0.99
H  0.0918  0.6508  0.0550  1 O 0.99
H  0.0950  0.6532  0.9031  1 N 1.06
H  0.0954  0.9184  0.2160  1 O 0.99
H  0.1372  0.4641  0.9026  1 N 1.04
H  0.1381  0.4780  0.0569  1 O 0.99
H  0.1508  0.4082  0.8050  1 O 0.99
H  0.1520  0.3069  0.2280  1 N 1.04
H  0.1532  0.4050  0.6531  1 N 1.06
H  0.1555  0.5049  0.5223  1 N 1.03
H  0.1606  0.0688  0.7368  1 N 1.05
H  0.1729  0.2970  0.3005  1 N 1.06
H  0.1931  0.6520  0.4780  1 N 1.04
H  0.2030  0.6729  0.5505  1 N 1.06
H  0.2970  0.1729  0.6995  1 N 1.06
H  0.3069  0.1520  0.7720  1 N 1.04
H  0.3271  0.7970  0.9495  1 N 1.06
H  0.3394  0.5688  0.5132  1 N 1.05
H  0.3445  0.0049  0.7277  1 N 1.03
H  0.3468  0.9050  0.5969  1 N 1.06
H  0.3480  0.8069  0.0220  1 N 1.04
H  0.3492  0.9082  0.4450  1 O 0.99
H  0.3619  0.9780  0.1931  1 O 0.99
H  0.3628  0.9641  0.3474  1 N 1.04
H  0.4050  0.1532  0.3469  1 N 1.06
H  0.4046  0.4184  0.0340  1 O 0.99
H  0.4082  0.1508  0.1950  1 O 0.99
H  0.4184  0.4046  0.9660  1 O 0.99
H  0.4312  0.6606  0.9868  1 N 1.05
H  0.4391  0.0445  0.2878  1 N 1.04
H  0.4516  0.9765  0.8480  1 N 1.04
H  0.4555  0.9391  0.5378  1 N 1.04
H  0.4641  0.1372  0.0974  1 N 1.04
H  0.4765  0.0484  0.5980  1 N 1.04
H  0.4780  0.1381  0.9431  1 O 0.99
H  0.4951  0.8445  0.9777  1 N 1.03
H  0.5049  0.1555  0.4777  1 N 1.03
H  0.5220  0.8619  0.4431  1 O 0.99
H  0.5235  0.9516  0.0980  1 N 1.04
H  0.5359  0.8628  0.5974  1 N 1.04
H  0.5445  0.0609  0.0378  1 N 1.04
H  0.5484  0.0235  0.3480  1 N 1.04
H  0.5609  0.9555  0.7878  1 N 1.04
H  0.5688  0.3394  0.4868  1 N 1.05
H  0.5816  0.5954  0.4660  1 O 0.99
H  0.5918  0.8492  0.6950  1 O 0.99
H  0.5954  0.5816  0.5340  1 O 0.99
H  0.5950  0.8468  0.8469  1 N 1.06
H  0.6372  0.0359  0.8474  1 N 1.04
H  0.6381  0.0220  0.6931  1 O 0.99
H  0.6508  0.0918  0.9450  1 O 0.99
H  0.6520  0.1931  0.5220  1 N 1.04
H  0.6532  0.0950  0.0969  1 N 1.06
H  0.6555  0.9951  0.2277  1 N 1.03
H  0.6606  0.4312  0.0132  1 N 1.05
H  0.6729  0.2030  0.4495  1 N 1.06
H  0.6931  0.8480  0.2720  1 N 1.04
H  0.7030  0.8271  0.1995  1 N 1.06
H  0.7970  0.3271  0.0505  1 N 1.06
H  0.8069  0.3480  0.9780  1 N 1.04
H  0.8271  0.7030  0.8005  1 N 1.06
H  0.8394  0.9312  0.2368  1 N 1.05
H  0.8445  0.4951  0.0223  1 N 1.03
H  0.8468  0.5950  0.1531  1 N 1.06
H  0.8480  0.6931  0.7280  1 N 1.04
H  0.8492  0.5918  0.3050  1 O 0.99
H  0.8619  0.5220  0.5569  1 O 0.99
H  0.8628  0.5359  0.4026  1 N 1.04
H  0.9046  0.0816  0.7160  1 O 0.99
H  0.9050  0.3468  0.4031  1 N 1.06
H  0.9082  0.3492  0.5550  1 O 0.99
H  0.9184  0.0954  0.7840  1 O 0.99
H  0.9312  0.8394  0.7632  1 N 1.05
H  0.9391  0.4555  0.4622  1 N 1.04
H  0.9516  0.5235  0.9020  1 N 1.04
H  0.9555  0.5609  0.2122  1 N 1.04
H  0.9641  0.3628  0.6526  1 N 1.04
H  0.9765  0.4516  0.1520  1 N 1.04
H  0.9780  0.3619  0.8069  1 O 0.99
H  0.9951  0.6555  0.7723  1 N 1.03
S  0.1220  0.1220  0.5000  2 Sn 2.48
S  0.1375  0.8090  0.6252  2 H 2.13-2.20, 1 Sn 2.38
S  0.1508  0.8153  0.3785  4 H 2.39-2.55, 1 Sn 2.39
S  0.1687  0.1687  0.0000  2 Sn 2.47
S  0.1847  0.8492  0.1215  4 H 2.39-2.55, 1 Sn 2.39
S  0.1910  0.8625  0.8748  2 H 2.13-2.20, 1 Sn 2.38
S  0.3090  0.3625  0.3752  2 H 2.13-2.20, 1 Sn 2.38
S  0.3153  0.3492  0.1285  4 H 2.39-2.55, 1 Sn 2.39
S  0.3313  0.6687  0.2500  2 Sn 2.47
S  0.3492  0.3153  0.8715  4 H 2.39-2.55, 1 Sn 2.39
S  0.3625  0.3090  0.6248  2 H 2.13-2.20, 1 Sn 2.38
S  0.3780  0.6220  0.7500  2 Sn 2.48
S  0.6220  0.3780  0.2500  2 Sn 2.48
S  0.6375  0.6910  0.1248  2 H 2.13-2.20, 1 Sn 2.38
S  0.6508  0.6847  0.3715  4 H 2.39-2.55, 1 Sn 2.39
S  0.6687  0.3313  0.7500  2 Sn 2.47
S  0.6847  0.6508  0.6285  4 H 2.39-2.55, 1 Sn 2.39
S  0.6910  0.6375  0.8752  2 H 2.13-2.20, 1 Sn 2.38
S  0.8090  0.1375  0.3748  2 H 2.13-2.20, 1 Sn 2.38
S  0.8153  0.1508  0.6215  4 H 2.39-2.55, 1 Sn 2.39
S  0.8313  0.8313  0.5000  2 Sn 2.47
S  0.8492  0.1847  0.8785  4 H 2.39-2.55, 1 Sn 2.39
S  0.8625  0.1910  0.1252  2 H 2.13-2.20, 1 Sn 2.38
S  0.8780  0.8780  0.0000  2 Sn 2.48
N  0.0444  0.4402  0.6677  4 H 1.04-1.06
N  0.0598  0.5444  0.9177  4 H 1.04-1.06
N  0.0987  0.2756  0.2656  4 H 1.03-1.06
N  0.2244  0.5987  0.5156  4 H 1.03-1.06
N  0.2756  0.0987  0.7344  4 H 1.03-1.06
N  0.4013  0.7756  0.9844  4 H 1.03-1.06
N  0.4402  0.0444  0.3323  4 H 1.04-1.06
N  0.4556  0.9402  0.5823  4 H 1.04-1.06
N  0.5444  0.0598  0.0823  4 H 1.04-1.06
N  0.5598  0.9556  0.8323  4 H 1.04-1.06
N  0.5987  0.2244  0.4844  4 H 1.03-1.06
N  0.7244  0.9013  0.2344  4 H 1.03-1.06
N  0.7756  0.4013  0.0156  4 H 1.03-1.06
N  0.9013  0.7244  0.7656  4 H 1.03-1.06
N  0.9402  0.4556  0.4177  4 H 1.04-1.06
N  0.9556  0.5598  0.1677  4 H 1.04-1.06
O  0.0412  0.9588  0.2500  2 H 0.99
O  0.0505  0.4309  0.7879  2 H 0.99
O  0.0691  0.5505  0.0379  2 H 0.99
O  0.4309  0.0505  0.2121  2 H 0.99
O  0.4495  0.9309  0.4621  2 H 0.99
O  0.4588  0.4588  0.0000  2 H 0.99
O  0.5412  0.5412  0.5000  2 H 0.99
O  0.5505  0.0691  0.9621  2 H 0.99
O  0.5691  0.9495  0.7121  2 H 0.99
O  0.9309  0.4495  0.5379  2 H 0.99
O  0.9495  0.5691  0.2879  2 H 0.99
O  0.9588  0.0412  0.7500  2 H 0.99

Values from the calculation:
Formation energy   -0.67 eV per atom
DFT total energy   -4.740 eV/atom
Corrected total energy (MP2020 scheme)   -180.47 eV/f.u.
Space group   P4_12_12